# 1
Ge3Mo5C: optimized geometry, PBE.

Cell: 7.470 7.470 5.341 Å, 90.00 90.00 120.00°
Fractional positions:
Ge 0.404 0.000 0.750
Ge 0.404 0.404 0.250
Ge 0.000 0.596 0.250
Ge 0.000 0.404 0.750
Ge 0.596 0.596 0.750
Ge 0.596 0.000 0.250
Mo 0.667 0.333 0.000
Mo 0.333 0.667 0.500
Mo 0.667 0.333 0.500
Mo 0.333 0.667 0.000
Mo 0.774 0.000 0.750
Mo 0.774 0.774 0.250
Mo 0.000 0.226 0.250
Mo 0.000 0.774 0.750
Mo 0.226 0.226 0.750
Mo 0.226 0.000 0.250
C 0.000 0.000 0.500
C 0.000 0.000 0.000

Computed properties:
E_form	-0.08	eV per atom
size of the total moment	0.00	μB/atom
V	14.34	Å³/atom


# 2
PtAu: optimized geometry, PBE.

Cell: 2.845 2.845 4.802 Å, 90.00 90.00 120.00°
Fractional positions:
Pt 0.000 0.000 0.000
Au 0.333 0.667 0.500

Computed properties:
E_form	0.07	eV per atom
V	16.83	Å³/atom


# 3
MgH16I2O16: optimized geometry, PBE.

Cell: 5.587 10.812 12.147 Å, 66.71 90.00 90.00°
Fractional positions:
Mg 0.000 0.000 0.000
Mg 0.500 0.000 0.500
H 0.600 0.641 0.389
H 0.100 0.359 0.111
H 0.400 0.359 0.611
H 0.900 0.641 0.889
H 0.356 0.482 0.331
H 0.856 0.518 0.169
H 0.644 0.518 0.669
H 0.144 0.482 0.831
H 0.173 0.753 0.112
H 0.673 0.247 0.388
H 0.827 0.247 0.888
H 0.327 0.753 0.612
H 0.267 0.810 0.976
H 0.767 0.190 0.524
H 0.733 0.190 0.024
H 0.233 0.810 0.476
H 0.773 0.789 0.158
H 0.273 0.211 0.342
H 0.227 0.211 0.842
H 0.727 0.789 0.658
H 0.555 0.874 0.082
H 0.055 0.126 0.418
H 0.445 0.126 0.918
H 0.945 0.874 0.582
H 0.170 0.109 0.158
H 0.670 0.891 0.342
H 0.830 0.891 0.842
H 0.330 0.109 0.658
H 0.149 0.949 0.229
H 0.649 0.051 0.271
H 0.851 0.051 0.771
H 0.351 0.949 0.729
I 0.038 0.624 0.377
I 0.538 0.376 0.123
I 0.962 0.376 0.623
I 0.462 0.624 0.877
O 0.959 0.644 0.224
O 0.459 0.356 0.276
O 0.041 0.356 0.776
O 0.541 0.644 0.724
O 0.733 0.696 0.401
O 0.233 0.304 0.099
O 0.267 0.304 0.599
O 0.767 0.696 0.901
O 0.181 0.783 0.355
O 0.681 0.217 0.145
O 0.819 0.217 0.645
O 0.319 0.783 0.855
O 0.355 0.551 0.367
O 0.855 0.449 0.133
O 0.645 0.449 0.633
O 0.145 0.551 0.867
O 0.097 0.562 0.556
O 0.597 0.438 0.944
O 0.903 0.438 0.444
O 0.403 0.562 0.056
O 0.236 0.836 0.046
O 0.736 0.164 0.454
O 0.764 0.164 0.954
O 0.264 0.836 0.546
O 0.721 0.882 0.106
O 0.221 0.118 0.394
O 0.279 0.118 0.894
O 0.779 0.882 0.606
O 0.126 0.025 0.151
O 0.626 0.975 0.349
O 0.874 0.975 0.849
O 0.374 0.025 0.651

Computed properties:
E_form	-1.22	eV per atom
size of the total moment	0.00	μB/atom
V	9.63	Å³/atom